1.
Computed, not measured: crystalline KNaThF6 at its relaxed geometry at the PBE level of DFT.

Structure (CIF):
```
data_KNaThF6
_cell_length_a 6.381
_cell_length_b 6.381
_cell_length_c 7.977
_cell_angle_alpha 90.00
_cell_angle_beta 90.00
_cell_angle_gamma 120.00
_space_group_name_H-M_alt 'P 1'
_space_group_IT_number 1
_space_group_name_Hall 'P 1'
loop_
_atom_site_label
_atom_site_fract_x
_atom_site_fract_y
_atom_site_fract_z
K1 0.667 0.333 0.391
K2 0.333 0.667 0.609
Na1 0.000 0.000 0.235
Na2 0.000 0.000 0.765
Th1 0.333 0.667 0.121
Th2 0.667 0.333 0.879
F1 0.276 0.893 0.321
F2 0.924 0.611 0.097
F3 0.389 0.313 0.097
F4 0.611 0.687 0.903
F5 0.893 0.617 0.679
F6 0.724 0.107 0.679
F7 0.313 0.924 0.903
F8 0.076 0.389 0.903
F9 0.107 0.383 0.321
F10 0.687 0.076 0.097
F11 0.617 0.724 0.321
F12 0.383 0.276 0.679
```

Computed properties:
Energy with MP2020 corrections ... -6.2533 eV/atom
Calculated volume ... 281.3 Å³/cell
E_form ... -3883 meV/atom


2.
Computed, not measured: crystalline KNa2TiF6 at its relaxed geometry at the PBE level of DFT.

Structure (CIF):
```
data_KNa2TiF6
_cell_length_a 6.294
_cell_length_b 6.294
_cell_length_c 6.294
_cell_angle_alpha 60.00
_cell_angle_beta 60.00
_cell_angle_gamma 60.00
_space_group_name_H-M_alt 'P 1'
_space_group_IT_number 1
_space_group_name_Hall 'P 1'
loop_
_atom_site_label
_atom_site_fract_x
_atom_site_fract_y
_atom_site_fract_z
K1 0.500 0.500 0.500
Na1 0.750 0.750 0.750
Na2 0.250 0.250 0.250
Ti1 0.000 0.000 0.000
F1 0.779 0.221 0.221
F2 0.221 0.221 0.779
F3 0.221 0.779 0.779
F4 0.221 0.779 0.221
F5 0.779 0.221 0.779
F6 0.779 0.779 0.221
```

Computed properties:
Energy with MP2020 corrections ... -5.4070 eV/atom
Calculated volume ... 176.3 Å³/cell
E_form ... -3093 meV/atom


3.
Computed, not measured: crystalline K2NaYF6 at its relaxed geometry at the PBE level of DFT.

Structure (CIF):
```
data_K2NaYF6
_cell_length_a 6.305
_cell_length_b 6.305
_cell_length_c 6.305
_cell_angle_alpha 60.00
_cell_angle_beta 60.00
_cell_angle_gamma 60.00
_space_group_name_H-M_alt 'P 1'
_space_group_IT_number 1
_space_group_name_Hall 'P 1'
loop_
_atom_site_label
_atom_site_fract_x
_atom_site_fract_y
_atom_site_fract_z
K1 0.250 0.250 0.250
K2 0.750 0.750 0.750
Na1 0.500 0.500 0.500
Y1 0.000 0.000 0.000
F1 0.756 0.756 0.244
F2 0.244 0.756 0.756
F3 0.244 0.244 0.756
F4 0.756 0.244 0.756
F5 0.244 0.756 0.244
F6 0.756 0.244 0.244
```

Computed properties:
Energy with MP2020 corrections ... -5.7074 eV/atom
Calculated volume ... 177.2 Å³/cell
E_form ... -3558 meV/atom


4.
Computed, not measured: crystalline KNb4O5F at its relaxed geometry at the PBE level of DFT.

Structure (CIF):
```
data_KNb4O5F
_cell_length_a 4.209
_cell_length_b 4.209
_cell_length_c 8.540
_cell_angle_alpha 90.00
_cell_angle_beta 90.00
_cell_angle_gamma 90.00
_space_group_name_H-M_alt 'P 1'
_space_group_IT_number 1
_space_group_name_Hall 'P 1'
loop_
_atom_site_label
_atom_site_fract_x
_atom_site_fract_y
_atom_site_fract_z
K1 0.000 0.000 0.500
Nb1 0.500 0.500 0.236
Nb2 0.500 0.500 0.764
Nb3 0.500 0.000 0.000
Nb4 0.000 0.500 0.000
O1 0.000 0.500 0.249
O2 0.000 0.500 0.751
O3 0.500 0.000 0.249
O4 0.000 0.000 0.000
O5 0.500 0.000 0.751
F1 0.500 0.500 0.500
```

Computed properties:
Energy with MP2020 corrections ... -8.8079 eV/atom
Calculated volume ... 151.3 Å³/cell
E_form ... -2611 meV/atom